FeF3, optimized geometry, DFT meta-GGA r2SCAN; space-group type = Fd-3m, No. 227; ΔE_f = -2527 meV per atom
1.0
0.000 5.173 5.173
5.173 0.000 5.173
5.173 5.173 0.000
Fe F
4 12
Cartesian
0.000 0.000 0.000
2.586 2.586 0.000
2.586 0.000 2.586
0.000 2.586 2.586
3.879 3.879 0.636
3.879 0.636 3.879
7.123 3.879 3.879
6.466 6.466 3.222
6.466 3.222 6.466
9.710 6.466 6.466
0.636 3.879 3.879
3.879 7.123 3.879
3.879 3.879 7.123
3.222 6.466 6.466
6.466 9.710 6.466
6.466 6.466 9.710